Material: NbNi3P4O16
Method: DFT, GGA+U
State: optimized geometry

Cell: 4.9116 5.8961 10.0058 Å, 90.00 90.75 90.00°
Last column: nearest neighbours and their distance in Å.
Sites, in units of the cell vectors:
Nb1 0.0000 0.0000 0.0000  6 O 1.90-2.10
Ni1 0.4304 0.0000 0.5069  6 O 1.98-2.17
Ni2 0.5151 0.5000 0.0540  4 O 1.96-2.11
Ni3 0.9421 0.5000 0.5457  6 O 1.99-2.15
P1 0.0427 0.5000 0.8669  4 O 1.50-1.63
P2 0.3794 0.5000 0.3741  4 O 1.53-1.57
P3 0.5775 0.0000 0.1887  4 O 1.48-1.60
P4 0.8893 0.0000 0.6689  4 O 1.50-1.64
O1 0.1367 0.5000 0.7252  1 P 1.50
O2 0.1851 0.2936 0.9498  1 P 1.63
O3 0.1851 0.7064 0.9498  1 P 1.63
O4 0.1950 0.0000 0.6665  1 P 1.50
O5 0.2367 0.2953 0.4450  1 P 1.57
O6 0.2367 0.7047 0.4450  1 P 1.57
O7 0.2723 0.0000 0.1488  1 P 1.55
O8 0.3165 0.5000 0.2229  1 P 1.54
O9 0.6361 0.0000 0.3339  1 P 1.48
O10 0.6908 0.5000 0.3886  1 P 1.53
O11 0.7231 0.1988 0.1077  1 P 1.60
O12 0.7231 0.8012 0.1077  1 P 1.60
O13 0.7384 0.2061 0.6071  1 P 1.55
O14 0.7384 0.7939 0.6071  1 P 1.55
O15 0.7402 0.5000 0.8915  1 P 1.51
O16 0.8250 0.0000 0.8291  1 P 1.64

The value obtained for the energy of formation from the pure elements is -2.30 eV per atom. As for the crystal system: monoclinic.



Material: Nb3NiP6O24
Method: DFT, GGA+U
State: optimized geometry

Cell: 9.0089 9.0089 9.0089 Å, 58.50 58.50 58.50°
Last column: nearest neighbours and their distance in Å.
Sites, in units of the cell vectors:
Nb1 0.0000 0.0000 0.0000  6 O 1.98-2.01
Nb2 0.2181 0.2181 0.2181  6 O 1.98-2.02
Nb3 0.7184 0.7184 0.7184  6 O 1.98-2.02
Ni1 0.5016 0.5016 0.5016  6 O 2.01-2.02
P1 0.1170 0.8181 0.3928  4 O 1.50-1.57
P2 0.3264 0.6078 0.8860  4 O 1.50-1.57
P3 0.3928 0.1170 0.8181  4 O 1.50-1.57
P4 0.6078 0.8860 0.3264  4 O 1.50-1.57
P5 0.8181 0.3928 0.1170  4 O 1.50-1.57
P6 0.8860 0.3264 0.6078  4 O 1.50-1.57
O1 0.0690 0.2965 0.4384  1 P 1.57
O2 0.0743 0.8594 0.2257  1 P 1.56
O3 0.1389 0.9939 0.3614  1 P 1.56
O4 0.1489 0.7779 0.9261  1 P 1.56
O5 0.2257 0.0743 0.8594  1 P 1.56
O6 0.2802 0.6430 0.4185  1 P 1.50
O7 0.2965 0.4384 0.0690  1 P 1.57
O8 0.3464 0.5825 0.7242  1 P 1.50
O9 0.3614 0.1389 0.9939  1 P 1.56
O10 0.4185 0.2802 0.6430  1 P 1.50
O11 0.4384 0.0690 0.2965  1 P 1.57
O12 0.4938 0.6392 0.8607  1 P 1.56
O13 0.5678 0.9380 0.7975  1 P 1.57
O14 0.5825 0.7242 0.3464  1 P 1.50
O15 0.6392 0.8607 0.4938  1 P 1.56
O16 0.6430 0.4185 0.2802  1 P 1.50
O17 0.7242 0.3464 0.5825  1 P 1.50
O18 0.7779 0.9261 0.1489  1 P 1.56
O19 0.7975 0.5678 0.9380  1 P 1.57
O20 0.8594 0.2257 0.0743  1 P 1.56
O21 0.8607 0.4938 0.6392  1 P 1.56
O22 0.9261 0.1489 0.7779  1 P 1.56
O23 0.9380 0.7975 0.5678  1 P 1.57
O24 0.9939 0.3614 0.1389  1 P 1.56

The value obtained for the energy of formation from the pure elements is -2.69 eV per atom. As for the crystal system: trigonal.



Material: NbNi5P6O24
Method: DFT, GGA+U
State: optimized geometry

Cell: 8.5335 8.5335 8.5335 Å, 61.13 61.13 61.13°
Last column: nearest neighbours and their distance in Å.
Sites, in units of the cell vectors:
Nb1 0.0000 0.0000 0.0000  6 O 1.93-2.07
Ni1 0.2146 0.2146 0.2146  6 O 1.99-2.06
Ni2 0.3564 0.3564 0.3564  6 O 2.14-2.15
Ni3 0.4973 0.4973 0.4973  6 O 1.99-2.10
Ni4 0.7127 0.7127 0.7127  6 O 1.97-2.08
Ni5 0.8520 0.8520 0.8520  6 O 2.09-2.25
P1 0.1095 0.4103 0.8081  4 O 1.51-1.59
P2 0.3143 0.9034 0.5987  4 O 1.51-1.60
P3 0.4103 0.8081 0.1095  4 O 1.51-1.59
P4 0.5987 0.3143 0.9034  4 O 1.51-1.60
P5 0.8081 0.1095 0.4103  4 O 1.51-1.59
P6 0.9034 0.5987 0.3143  4 O 1.51-1.60
O1 0.0334 0.2459 0.8666  1 P 1.59
O2 0.1020 0.4472 0.2981  1 P 1.55
O3 0.1118 0.9230 0.7619  1 P 1.60
O4 0.1773 0.3672 0.9635  1 P 1.51
O5 0.2459 0.8666 0.0334  1 P 1.59
O6 0.2603 0.4116 0.6126  1 P 1.54
O7 0.2981 0.1020 0.4472  1 P 1.55
O8 0.3469 0.7485 0.5366  1 P 1.51
O9 0.3672 0.9635 0.1773  1 P 1.51
O10 0.4116 0.6126 0.2603  1 P 1.54
O11 0.4472 0.2981 0.1020  1 P 1.55
O12 0.4656 0.8656 0.6706  1 P 1.52
O13 0.5366 0.3469 0.7485  1 P 1.51
O14 0.6032 0.7941 0.9488  1 P 1.55
O15 0.6126 0.2603 0.4116  1 P 1.54
O16 0.6706 0.4656 0.8656  1 P 1.52
O17 0.7485 0.5366 0.3469  1 P 1.51
O18 0.7619 0.1118 0.9230  1 P 1.60
O19 0.7941 0.9488 0.6032  1 P 1.55
O20 0.8656 0.6706 0.4656  1 P 1.52
O21 0.8666 0.0334 0.2459  1 P 1.59
O22 0.9230 0.7619 0.1118  1 P 1.60
O23 0.9488 0.6032 0.7941  1 P 1.55
O24 0.9635 0.1773 0.3672  1 P 1.51

The value obtained for the energy of formation from the pure elements is -2.18 eV per atom. As for the crystal system: trigonal.



Material: Ti3NbNi2P6O24
Method: DFT, GGA+U
State: optimized geometry

Cell: 8.6311 8.6311 8.6311 Å, 60.68 60.68 60.68°
Last column: nearest neighbours and their distance in Å.
Sites, in units of the cell vectors:
Ti1 0.0000 0.0000 0.0000  6 O 1.94-2.09
Ti2 0.2129 0.2129 0.2129  6 O 1.93-2.03
Ti3 0.7091 0.7091 0.7091  6 O 1.93-2.10
Nb1 0.4956 0.4956 0.4956  6 O 1.99-2.06
Ni1 0.3535 0.3535 0.3535  6 O 2.27-2.34
Ni2 0.8551 0.8551 0.8551  6 O 2.19-2.20
P1 0.0975 0.8201 0.4016  4 O 1.53-1.56
P2 0.3062 0.6067 0.9006  4 O 1.53-1.56
P3 0.4016 0.0975 0.8201  4 O 1.53-1.56
P4 0.6067 0.9006 0.3062  4 O 1.53-1.56
P5 0.8201 0.4016 0.0975  4 O 1.53-1.56
P6 0.9006 0.3062 0.6067  4 O 1.53-1.56
O1 0.0336 0.8596 0.2441  1 P 1.54
O2 0.0891 0.2910 0.4453  1 P 1.53
O3 0.1134 0.7687 0.9114  1 P 1.56
O4 0.1656 0.9756 0.3566  1 P 1.53
O5 0.2441 0.0336 0.8596  1 P 1.54
O6 0.2586 0.6266 0.4183  1 P 1.56
O7 0.2910 0.4453 0.0891  1 P 1.53
O8 0.3498 0.5425 0.7402  1 P 1.55
O9 0.3566 0.1656 0.9756  1 P 1.53
O10 0.4183 0.2586 0.6266  1 P 1.56
O11 0.4453 0.0891 0.2910  1 P 1.53
O12 0.4679 0.6700 0.8527  1 P 1.54
O13 0.5425 0.7402 0.3498  1 P 1.55
O14 0.5963 0.9377 0.8032  1 P 1.56
O15 0.6266 0.4183 0.2586  1 P 1.56
O16 0.6700 0.8527 0.4679  1 P 1.54
O17 0.7402 0.3498 0.5425  1 P 1.55
O18 0.7687 0.9114 0.1134  1 P 1.56
O19 0.8032 0.5963 0.9377  1 P 1.56
O20 0.8527 0.4678 0.6700  1 P 1.54
O21 0.8596 0.2441 0.0336  1 P 1.54
O22 0.9114 0.1134 0.7687  1 P 1.56
O23 0.9377 0.8032 0.5963  1 P 1.56
O24 0.9756 0.3566 0.1656  1 P 1.53

The value obtained for the energy of formation from the pure elements is -2.72 eV per atom. As for the crystal system: trigonal.



Material: Ti3NbV2P6O24
Method: DFT, GGA+U
State: optimized geometry

Cell: 8.6200 8.6200 8.6200 Å, 61.14 61.14 61.14°
Last column: nearest neighbours and their distance in Å.
Sites, in units of the cell vectors:
Ti1 0.0000 0.0000 0.0000  6 O 1.94-2.10
Ti2 0.2123 0.2123 0.2123  6 O 1.93-2.09
Ti3 0.5015 0.5015 0.5015  6 O 1.94-2.09
Nb1 0.7144 0.7144 0.7144  6 O 2.02-2.12
V1 0.3564 0.3564 0.3564  6 O 2.22-2.23
V2 0.8556 0.8556 0.8556  6 O 2.22-2.25
P1 0.1139 0.8124 0.3928  4 O 1.53-1.57
P2 0.3080 0.6064 0.9024  4 O 1.53-1.56
P3 0.3928 0.1139 0.8124  4 O 1.53-1.57
P4 0.6064 0.9024 0.3080  4 O 1.53-1.56
P5 0.8124 0.3928 0.1139  4 O 1.53-1.57
P6 0.9024 0.3080 0.6064  4 O 1.53-1.56
O1 0.0431 0.8542 0.2397  1 P 1.53
O2 0.0960 0.2947 0.4475  1 P 1.56
O3 0.1150 0.7652 0.9154  1 P 1.56
O4 0.1811 0.9682 0.3498  1 P 1.53
O5 0.2397 0.0431 0.8542  1 P 1.53
O6 0.2711 0.6183 0.4102  1 P 1.56
O7 0.2947 0.4475 0.0960  1 P 1.56
O8 0.3498 0.1811 0.9682  1 P 1.53
O9 0.3572 0.5406 0.7430  1 P 1.53
O10 0.4102 0.2711 0.6183  1 P 1.56
O11 0.4475 0.0960 0.2947  1 P 1.56
O12 0.4615 0.6767 0.8645  1 P 1.55
O13 0.5406 0.7430 0.3572  1 P 1.53
O14 0.5888 0.9548 0.7981  1 P 1.57
O15 0.6183 0.4102 0.2711  1 P 1.56
O16 0.6767 0.8645 0.4615  1 P 1.55
O17 0.7430 0.3572 0.5406  1 P 1.53
O18 0.7652 0.9154 0.1150  1 P 1.56
O19 0.7981 0.5888 0.9548  1 P 1.57
O20 0.8542 0.2397 0.0431  1 P 1.53
O21 0.8645 0.4615 0.6767  1 P 1.55
O22 0.9154 0.1150 0.7652  1 P 1.56
O23 0.9548 0.7981 0.5888  1 P 1.57
O24 0.9682 0.3498 0.1811  1 P 1.53

The value obtained for the energy of formation from the pure elements is -2.86 eV per atom. As for the crystal system: trigonal.



Material: NbV3P6O24
Method: DFT, GGA+U
State: optimized geometry

Cell: 8.8034 8.8034 8.8034 Å, 58.64 58.64 58.64°
Last column: nearest neighbours and their distance in Å.
Sites, in units of the cell vectors:
Nb1 0.0000 0.0000 0.0000  6 O 1.97-2.01
V1 0.2181 0.2181 0.2181  6 O 1.93-1.94
V2 0.5012 0.5012 0.5012  6 O 1.87-1.90
V3 0.7184 0.7184 0.7184  6 O 1.93
P1 0.1107 0.4009 0.8250  4 O 1.53-1.56
P2 0.3343 0.8932 0.6016  4 O 1.53-1.56
P3 0.4009 0.8250 0.1107  4 O 1.53-1.56
P4 0.6016 0.3343 0.8932  4 O 1.53-1.56
P5 0.8250 0.1107 0.4009  4 O 1.53-1.56
P6 0.8932 0.6016 0.3343  4 O 1.53-1.56
O1 0.0738 0.4327 0.3020  1 P 1.53
O2 0.0861 0.2254 0.8517  1 P 1.55
O3 0.1415 0.3688 0.9963  1 P 1.53
O4 0.1517 0.9174 0.7782  1 P 1.56
O5 0.2254 0.8517 0.0861  1 P 1.55
O6 0.2875 0.4276 0.6437  1 P 1.56
O7 0.3020 0.0738 0.4327  1 P 1.53
O8 0.3625 0.7185 0.5762  1 P 1.54
O9 0.3688 0.9963 0.1415  1 P 1.53
O10 0.4276 0.6437 0.2875  1 P 1.56
O11 0.4327 0.3020 0.0738  1 P 1.53
O12 0.4995 0.8663 0.6390  1 P 1.53
O13 0.5762 0.3625 0.7185  1 P 1.54
O14 0.5786 0.7948 0.9384  1 P 1.53
O15 0.6390 0.4995 0.8663  1 P 1.53
O16 0.6437 0.2875 0.4276  1 P 1.56
O17 0.7185 0.5762 0.3625  1 P 1.54
O18 0.7782 0.1517 0.9174  1 P 1.56
O19 0.7948 0.9384 0.5786  1 P 1.53
O20 0.8517 0.0861 0.2254  1 P 1.55
O21 0.8663 0.6390 0.4995  1 P 1.53
O22 0.9174 0.7782 0.1517  1 P 1.56
O23 0.9384 0.5786 0.7948  1 P 1.53
O24 0.9963 0.1415 0.3688  1 P 1.53

The value obtained for the energy of formation from the pure elements is -2.66 eV per atom. As for the crystal system: trigonal.



Material: Nb3P6WO24
Method: DFT, GGA+U
State: optimized geometry

Cell: 9.0714 9.0714 9.0714 Å, 58.51 58.51 58.51°
Last column: nearest neighbours and their distance in Å.
Sites, in units of the cell vectors:
Nb1 0.0000 0.0000 0.0000  6 O 1.97-1.99
Nb2 0.2180 0.2180 0.2180  6 O 1.99-2.03
Nb3 0.7182 0.7182 0.7182  6 O 1.97-2.04
P1 0.1079 0.8262 0.3903  4 O 1.50-1.57
P2 0.3244 0.6089 0.8925  4 O 1.50-1.56
P3 0.3903 0.1079 0.8262  4 O 1.50-1.57
P4 0.6089 0.8925 0.3244  4 O 1.50-1.56
P5 0.8262 0.3903 0.1079  4 O 1.50-1.57
P6 0.8925 0.3244 0.6089  4 O 1.50-1.56
W1 0.5000 0.5000 0.5000  6 O 2.12
O1 0.0681 0.8662 0.2244  1 P 1.55
O2 0.0706 0.2951 0.4383  1 P 1.56
O3 0.1342 0.9975 0.3601  1 P 1.56
O4 0.1498 0.7777 0.9311  1 P 1.56
O5 0.2244 0.0681 0.8662  1 P 1.55
O6 0.2690 0.6518 0.4134  1 P 1.50
O7 0.2951 0.4383 0.0706  1 P 1.56
O8 0.3386 0.5872 0.7317  1 P 1.50
O9 0.3601 0.1342 0.9975  1 P 1.56
O10 0.4134 0.2690 0.6518  1 P 1.50
O11 0.4383 0.0706 0.2951  1 P 1.56
O12 0.4932 0.6387 0.8618  1 P 1.55
O13 0.5643 0.9315 0.8032  1 P 1.57
O14 0.5873 0.7317 0.3386  1 P 1.50
O15 0.6387 0.8618 0.4932  1 P 1.55
O16 0.6518 0.4134 0.2690  1 P 1.50
O17 0.7317 0.3386 0.5873  1 P 1.50
O18 0.7777 0.9311 0.1498  1 P 1.56
O19 0.8032 0.5643 0.9315  1 P 1.57
O20 0.8618 0.4932 0.6387  1 P 1.55
O21 0.8662 0.2244 0.0681  1 P 1.55
O22 0.9311 0.1498 0.7777  1 P 1.56
O23 0.9315 0.8032 0.5643  1 P 1.57
O24 0.9975 0.3601 0.1342  1 P 1.56

The value obtained for the energy of formation from the pure elements is -2.78 eV per atom. As for the crystal system: trigonal.



Material: RbNbV2O8
Method: DFT, GGA+U
State: optimized geometry

Cell: 15.2326 5.6933 9.2143 Å, 90.00 90.00 90.00°
Last column: nearest neighbours and their distance in Å.
Sites, in units of the cell vectors:
Rb1 0.1158 0.2500 0.0519  6 O 2.99-3.19
Rb2 0.3842 0.7500 0.5519  6 O 2.99-3.19
Rb3 0.6158 0.2500 0.4481  6 O 2.99-3.19
Rb4 0.8842 0.7500 0.9481  6 O 2.99-3.19
Nb1 0.1599 0.2500 0.5045  6 O 1.99-2.02
Nb2 0.3401 0.7500 0.0045  6 O 1.99-2.02
Nb3 0.6599 0.2500 0.9955  6 O 1.99-2.02
Nb4 0.8401 0.7500 0.4955  6 O 1.99-2.02
V1 0.0616 0.7500 0.3193  4 O 1.65-1.78
V2 0.1605 0.7500 0.7543  4 O 1.64-1.80
V3 0.3395 0.2500 0.2543  4 O 1.64-1.80
V4 0.4384 0.2500 0.8193  4 O 1.65-1.78
V5 0.5616 0.7500 0.1807  4 O 1.65-1.78
V6 0.6605 0.7500 0.7457  4 O 1.64-1.80
V7 0.8395 0.2500 0.2457  4 O 1.64-1.80
V8 0.9384 0.2500 0.6807  4 O 1.65-1.78
O1 0.0365 0.2500 0.5807  1 V 1.76
O2 0.0416 0.7500 0.1429  1 V 1.65
O3 0.0542 0.7500 0.7849  1 V 1.64
O4 0.1256 0.0031 0.3626  1 V 1.78, 1 Nb 1.99
O5 0.1256 0.4969 0.3626  1 V 1.78, 1 Nb 1.99
O6 0.1906 0.0022 0.6529  1 V 1.77
O7 0.1906 0.4978 0.6529  1 V 1.77
O8 0.2181 0.7500 0.9249  1 V 1.80, 1 Nb 2.00
O9 0.2819 0.2500 0.4249  1 V 1.80, 1 Nb 2.00
O10 0.3094 0.5022 0.1529  1 V 1.77
O11 0.3094 0.9978 0.1529  1 V 1.77
O12 0.3744 0.5031 0.8626  1 V 1.78, 1 Nb 1.99
O13 0.3744 0.9969 0.8626  1 V 1.78, 1 Nb 1.99
O14 0.4458 0.2500 0.2849  1 V 1.64
O15 0.4584 0.2500 0.6429  1 V 1.65
O16 0.4635 0.7500 0.0807  1 V 1.76
O17 0.5365 0.2500 0.9193  1 V 1.76
O18 0.5416 0.7500 0.3571  1 V 1.65
O19 0.5542 0.7500 0.7151  1 V 1.64
O20 0.6256 0.0031 0.1374  1 V 1.78, 1 Nb 1.99
O21 0.6256 0.4969 0.1374  1 V 1.78, 1 Nb 1.99
O22 0.6906 0.0022 0.8471  1 V 1.77
O23 0.6906 0.4978 0.8471  1 V 1.77
O24 0.7181 0.7500 0.5751  1 V 1.80, 1 Nb 2.00
O25 0.7819 0.2500 0.0751  1 V 1.80, 1 Nb 2.00
O26 0.8094 0.5022 0.3471  1 V 1.77
O27 0.8094 0.9978 0.3471  1 V 1.77
O28 0.8744 0.5031 0.6374  1 V 1.78, 1 Nb 1.99
O29 0.8744 0.9969 0.6374  1 V 1.78, 1 Nb 1.99
O30 0.9458 0.2500 0.2151  1 V 1.64
O31 0.9584 0.2500 0.8571  1 V 1.65
O32 0.9635 0.7500 0.4193  1 V 1.76

The value obtained for the energy of formation from the pure elements is -2.59 eV per atom. As for the crystal system: orthorhombic.